[1]
VASP calculation (PBE-GGA) on Ba2Nd2Al3B12O27 after structural relaxation.

```
46
Lattice="0.349 4.297 1.807 -1.936 -3.439 2.505 23.398 -6.027 9.808" Properties=species:S:1:pos:R:3 pbc="T T T"
O 2.934 -1.918 3.995
O 16.645 -5.929 8.361
O 10.242 -1.026 6.506
O 22.219 -3.873 10.014
O 18.116 -5.829 10.359
O 11.699 -3.014 4.904
O 9.480 -3.605 6.738
O 0.510 -1.792 1.613
O 11.570 -4.143 7.615
O 14.759 -1.999 6.869
O 3.696 0.660 3.762
O 0.409 0.154 3.050
O 5.139 -2.966 3.537
O 12.332 -1.565 7.382
O 6.092 0.260 3.246
O 18.878 -3.251 10.126
O 21.154 -5.189 11.746
O 1.474 1.470 1.318
O 8.926 -0.497 4.424
O 17.598 -2.704 8.069
O 7.848 -1.757 6.222
O 5.021 -1.031 5.006
O 21.255 -7.135 10.309
O 16.527 -3.995 9.830
O 13.681 -3.259 8.667
O 7.987 -3.676 4.711
O 13.820 -5.178 7.156
B 21.683 -3.973 11.302
B 20.921 -6.552 11.535
B 4.908 0.348 4.270
B 7.929 -3.205 6.088
B 4.146 -2.231 4.503
B 17.665 -2.938 9.618
B 13.121 -4.542 8.265
B 16.904 -5.517 9.851
B 13.883 -1.964 8.032
B 0.891 1.383 2.586
B 0.129 -1.196 2.819
B 8.691 -0.627 5.856
Al 11.918 -0.322 6.036
Al 11.107 -2.693 6.515
Al 10.486 -5.168 6.474
Nd 16.366 -4.216 6.860
Nd 7.033 -1.812 2.948
Ba 19.911 -5.129 8.346
Ba 3.488 -0.898 1.462
```

Computed properties:
As for the formation energy: -2885 meV/atom.

=====

[2]
VASP calculation (PBE-GGA) on Ba8Al10B12O41 after structural relaxation.

```
71
Lattice="-8.116 -2.509 -3.915 3.010 -4.208 -8.478 -1.156 -11.007 1.927" Properties=species:S:1:pos:R:3 pbc="T T T"
O -2.553 -3.359 -6.197
O -1.210 -10.863 -5.396
O -3.076 -3.481 -3.290
O -4.429 -6.360 -9.742
O -5.829 -6.359 -7.777
O -2.879 -6.332 -4.154
O -7.182 -4.260 -3.573
O -0.196 -7.519 -5.974
O -3.187 -10.138 -4.287
O 0.921 -13.464 -6.894
O -6.575 -13.658 -8.793
O -1.700 -5.355 -1.761
O -7.945 -9.507 -3.141
O -0.432 -11.365 -2.690
O -1.689 -12.189 -8.547
O -0.079 -8.778 -0.812
O -1.421 -8.431 -8.425
O -2.091 -13.064 -2.372
O -4.561 -12.370 -8.706
O -6.526 -11.628 -7.506
O 0.265 -6.097 -2.961
O -2.676 -8.812 -1.027
O -1.832 -11.364 -0.725
O -3.185 -14.244 -7.176
O 0.314 -4.066 -1.674
O 1.746 -4.549 -7.588
O -8.008 -13.175 -2.879
O -6.181 -4.246 -5.733
O -4.840 -9.293 -2.042
O -3.382 -11.393 -6.313
O 1.684 -8.217 -7.326
O -4.572 -5.536 -1.919
O -1.414 -5.633 -7.609
O -0.080 -13.479 -4.734
O -5.051 -6.862 -5.071
O -4.847 -12.092 -2.858
O -3.586 -8.912 -9.440
O -6.066 -10.206 -4.493
O -4.170 -4.660 -8.095
O -6.182 -8.947 -9.655
O -3.074 -7.586 -6.179
Al -0.063 -11.766 -4.386
Al -3.794 -13.493 -2.736
Al -3.125 -5.153 -2.841
Al -3.136 -12.572 -7.626
Al -1.584 -7.288 -7.087
Al -4.891 -7.941 -10.486
Al -4.677 -10.436 -3.380
Al -1.370 -9.784 0.020
Al -2.467 -4.232 -7.730
Al -6.198 -5.958 -6.081
B -2.216 -8.988 -9.426
B -7.426 -10.286 -4.120
B -3.664 -6.898 -5.136
B -1.462 -11.927 -1.924
B -5.913 -12.501 -8.330
B -6.750 -3.537 -4.670
B -0.348 -5.224 -2.137
B -2.598 -10.827 -5.331
B 1.165 -7.438 -6.347
B 0.488 -14.187 -5.797
B -4.799 -5.797 -8.543
B -4.045 -8.736 -1.041
Ba 0.487 -10.637 -7.753
Ba -1.051 -8.426 -3.385
Ba -6.749 -7.087 -2.713
Ba -1.816 -2.370 -1.032
Ba -0.031 -4.574 -5.352
Ba -4.446 -15.355 -9.434
Ba -6.230 -13.151 -5.115
Ba -5.210 -9.299 -7.082
```

Computed properties:
As for the formation energy: -3248 meV/atom.

=====

[3]
VASP calculation (PBE-GGA) on CsBe4Al4B12O28 after structural relaxation.

```
49
Lattice="-2.893 -6.741 -1.104 6.544 -2.391 -2.548 1.959 -1.968 6.879" Properties=species:S:1:pos:R:3 pbc="T T T"
O 2.605 -4.701 2.861
O 0.285 -3.381 1.848
O 5.613 -7.782 3.079
O 2.804 -2.220 1.463
O 4.748 -5.054 -1.702
O 1.455 -5.832 0.970
O 4.900 -5.747 4.199
O 3.470 -6.865 1.995
O 5.149 -3.422 2.658
O 1.508 -3.494 -0.668
O 2.266 -8.337 -0.134
O 2.515 -6.013 -1.675
O 6.124 -5.859 1.683
O -0.809 -6.939 1.474
O 3.775 -2.619 -0.728
O 0.027 -5.783 3.441
O 6.042 -3.781 0.426
O 3.691 -4.802 0.628
O 4.319 -9.054 0.951
O 0.413 -7.052 -1.039
O 2.297 -6.946 4.597
O 3.936 -3.587 4.757
O 1.002 -8.221 2.466
O 3.097 -8.941 3.464
O 4.785 -7.176 -0.519
O -0.560 -4.618 -0.065
O 1.669 -2.425 3.602
O 1.420 -4.746 5.141
B 1.101 -6.255 -2.103
B 3.761 -1.686 0.442
B 2.550 -2.877 -1.549
B 2.612 -1.580 2.804
B 0.258 -2.666 3.164
B -0.958 -3.861 1.164
B 0.024 -4.847 4.610
B 0.186 -3.967 -1.188
B -1.191 -6.043 2.611
B 4.742 -2.672 3.889
B 3.465 -5.165 -2.464
B 5.891 -2.778 1.527
Cs 0.000 0.000 0.000
Be 4.599 -4.034 -0.383
Be 0.072 -6.121 0.310
Be 2.399 -3.831 4.139
Be 4.151 -8.212 2.387
Al 3.041 -6.550 0.143
Al 2.022 -4.000 1.163
Al 4.397 -5.217 2.372
Al 1.761 -6.432 2.775
```

Computed properties:
As for the formation energy: -2912 meV/atom.

=====

[4]
VASP calculation (PBE-GGA) on BeAlBO3F2 after structural relaxation.

```
8
Lattice="4.391 -1.204 0.746 -3.412 -2.327 2.058 -2.005 -31.342 -38.769" Properties=species:S:1:pos:R:3 pbc="T T T"
B -1.632 -25.504 -31.548
O -1.280 -26.525 -30.682
O 1.428 -26.362 -30.954
O 0.332 -28.275 -29.351
Be 0.131 -27.506 -30.888
F 0.075 -28.395 -31.987
F -2.347 -25.966 -28.082
Al -2.414 -27.004 -29.367
```

Computed properties:
As for the formation energy: -3164 meV/atom.

=====

[5]
VASP calculation (PBE-GGA) on Y2BeAlBO7 after structural relaxation.

```
48
Lattice="7.405 0.000 0.000 0.000 7.520 0.000 0.000 0.000 10.065" Properties=species:S:1:pos:R:3 pbc="T T T"
Be 4.322 2.697 6.178
Be 3.083 6.457 8.919
Be 0.620 1.063 3.887
Be 6.785 4.822 1.146
Y 3.170 5.401 6.091
Y 4.235 1.642 9.006
Y 0.532 2.118 1.059
Y 7.392 1.699 7.741
Y 0.013 5.459 7.356
Y 6.873 5.878 3.974
Y 3.689 2.061 2.324
Y 3.716 5.821 2.709
O 2.226 5.256 8.330
O 5.746 3.436 8.284
O 1.415 7.163 4.391
O 5.179 1.496 6.767
O 2.845 3.095 6.413
O 2.043 0.324 1.781
O 0.858 4.424 1.381
O 1.659 7.195 6.814
O 2.899 5.950 0.549
O 4.593 0.663 0.973
O 4.506 2.190 4.484
O 6.602 5.330 9.516
O 5.362 4.084 3.251
O 0.633 4.464 5.524
O 4.560 6.855 8.684
O 3.070 3.056 0.492
O 6.772 0.704 9.573
O 6.547 0.664 3.651
O 6.515 6.856 6.005
O 0.890 3.096 9.092
O 2.812 4.423 4.059
O 4.335 6.815 4.540
O 5.117 4.116 5.674
O 0.803 1.570 5.581
O 5.990 3.403 0.642
O 1.477 2.264 3.298
O 2.288 0.356 9.423
O 5.928 6.024 1.734
B 5.000 3.532 4.427
B 2.405 7.292 0.605
B 1.298 0.228 5.638
B 6.107 3.988 9.459
Al 5.445 0.594 5.160
Al 1.742 3.166 4.904
Al 5.663 6.926 0.128
Al 1.960 4.353 9.937
```

Computed properties:
The energy above the most stable polymorph in this dataset comes out at 278 meV/atom. As for the formation energy: -3268 meV/atom.

=====

[6]
VASP calculation (PBE-GGA) on Y2BeAlBO7 after structural relaxation.

```
24
Lattice="-6.591 -1.195 3.095 1.992 -3.035 3.071 1.220 5.537 4.734" Properties=species:S:1:pos:R:3 pbc="T T T"
Y -2.649 0.863 6.345
Y -0.098 3.070 6.872
Y -4.404 -1.967 4.554
Y 0.424 0.653 4.012
Be -1.544 2.799 4.205
Be -3.345 -1.765 7.404
O -3.341 -0.968 2.741
O -0.188 0.780 6.234
O -4.642 0.264 5.347
O -2.494 -1.390 5.991
O -1.626 1.888 8.553
O -3.823 -0.270 7.990
O -0.299 -1.892 4.189
O 2.183 2.677 7.115
O -2.075 3.025 5.703
O -0.324 -0.322 1.676
O 0.130 2.881 4.431
O 1.872 -1.143 3.704
O -1.836 1.164 3.980
O -3.948 3.042 7.118
B -2.984 3.952 6.362
B 1.105 -2.373 3.833
Al -2.980 0.775 2.715
Al -3.669 -0.061 9.720
```

Computed properties:
The energy above the most stable polymorph in this dataset comes out at 0 meV/atom. As for the formation energy: -3547 meV/atom.

=====

[7]
VASP calculation (PBE-GGA) on Y2BeAlBO7 after structural relaxation.

```
48
Lattice="9.559 0.000 0.000 0.000 7.599 0.000 0.000 0.000 7.958" Properties=species:S:1:pos:R:3 pbc="T T T"
Y 2.304 5.419 2.045
Y 1.048 1.431 1.685
Y 8.511 5.230 2.294
Y 7.254 1.620 1.934
Y 5.828 6.168 6.273
Y 3.731 2.368 5.663
Y 7.084 2.180 5.912
Y 2.475 5.979 6.024
B 0.475 4.109 0.061
B 4.305 7.288 4.040
B 9.084 0.310 3.918
B 5.254 3.489 7.896
O 1.550 2.505 5.115
O 1.174 0.109 6.523
O 4.209 4.808 5.047
O 8.009 6.304 6.822
O 8.384 3.908 5.413
O 5.350 1.009 6.889
O 8.656 4.135 0.273
O 0.839 5.009 3.658
O 0.571 6.590 1.069
O 5.619 2.590 4.300
O 8.988 2.790 2.910
O 6.140 4.001 7.003
O 3.969 6.630 2.862
O 0.810 4.768 6.841
O 8.198 7.397 3.024
O 1.361 3.597 0.955
O 3.419 0.202 4.934
O 8.720 1.210 0.321
O 3.876 3.463 7.684
O 5.954 7.490 1.435
O 6.329 5.094 2.843
O 0.903 0.336 3.706
O 5.590 2.831 1.117
O 3.605 3.691 2.544
O 3.940 6.389 7.636
O 5.682 7.262 4.252
O 3.229 1.294 1.136
O 8.749 0.968 5.095
Be 0.945 1.034 5.263
Be 3.834 2.765 1.284
Be 5.725 6.564 2.695
Be 8.613 4.834 6.673
Al 0.240 3.489 4.407
Al 4.539 0.311 0.428
Al 9.319 7.288 7.530
Al 5.019 4.110 3.551
```

Computed properties:
The energy above the most stable polymorph in this dataset comes out at 209 meV/atom. As for the formation energy: -3337 meV/atom.

=====

[8]
VASP calculation (PBE-GGA) on Al8BC5 after structural relaxation.

```
14
Lattice="16.859 -1.694 0.000 16.859 1.694 0.000 16.689 0.000 2.930" Properties=species:S:1:pos:R:3 pbc="T T T"
Al 32.603 0.000 1.895
Al 47.128 0.000 2.739
Al 21.958 0.000 1.276
Al 28.448 0.000 1.653
Al 7.372 0.000 0.428
Al 43.034 0.000 2.501
Al 3.279 0.000 0.191
Al 17.804 0.000 1.035
C 44.992 0.000 2.615
C 5.414 0.000 0.315
C 30.676 0.000 1.783
C 19.731 0.000 1.147
C 0.000 0.000 0.000
B 25.203 0.000 1.465
```

Computed properties:
As for the formation energy: -47 meV/atom.

=====

[9]
VASP calculation (PBE-GGA) on Al17B6C18 after structural relaxation.

```
41
Lattice="-4.793 -2.315 -2.367 4.601 1.233 -3.353 5.868 -14.814 2.606" Properties=species:S:1:pos:R:3 pbc="T T T"
C 1.224 -12.645 0.385
C 1.335 -4.446 -3.272
C 5.284 -13.340 2.347
C 3.638 -14.511 -0.342
C 3.923 -6.143 -1.935
C 1.719 -9.665 -1.195
C 2.480 -6.259 1.101
C 4.972 -8.792 -1.469
C 6.892 -13.638 -0.617
C 3.518 -8.881 1.562
C 4.337 -11.475 0.027
C 2.912 -3.316 -0.402
C 2.072 -1.469 -2.757
C 0.671 -7.020 -1.660
C 0.455 -1.147 0.202
C -1.181 -2.346 -2.482
C 7.451 -10.293 -0.269
C -0.038 -4.431 -0.092
B 5.806 -14.657 2.578
B 2.996 -7.564 1.331
B 1.547 -0.144 -2.990
B 4.444 -7.458 -1.704
B 1.196 -8.345 -1.427
B 4.167 -15.844 -0.108
Al 5.773 -10.813 -1.114
Al 2.810 -3.333 -2.429
Al -2.568 -3.727 -3.017
Al 5.157 -13.324 0.349
Al 8.155 -12.199 -0.004
Al 2.838 -12.489 -0.698
Al 5.256 -5.070 -3.026
Al 6.533 -13.292 -2.564
Al 0.516 -10.766 -0.019
Al -0.068 -5.156 -1.988
Al 1.955 -10.702 -2.900
Al 3.604 -5.219 -0.157
Al 2.171 -6.278 -2.950
Al 3.516 -9.626 -0.296
Al 0.500 -2.612 -3.588
Al 4.401 -11.110 1.954
Al -0.736 -2.561 -0.514
```

Computed properties:
As for the formation energy: 59 meV/atom.

=====

[10]
VASP calculation (PBE-GGA) on Al3BC after structural relaxation.

```
10
Lattice="1.750 -3.032 0.000 1.750 3.032 0.000 0.000 0.000 11.561" Properties=species:S:1:pos:R:3 pbc="T T T"
B 0.000 0.000 0.000
B 0.000 0.000 5.781
Al 0.000 0.000 8.671
Al 0.000 0.000 2.890
Al 1.750 -1.011 10.687
Al 1.750 1.011 4.906
Al 1.750 -1.011 6.655
Al 1.750 1.011 0.874
C 1.750 -1.011 8.671
C 1.750 1.011 2.890
```

Computed properties:
As for the formation energy: -98 meV/atom.